Entry 1:
Density functional theory data (PBE) for an optimized crystal structure of Ga2Se3.

Output
Energy of formation: -0.858 eV/atom
Total DFT energy (no corrections): -3.88 eV per atom
Symmetry: Imm2 (44)

Cell: 6.869 6.869 6.869 Å, 146.98 130.18 61.07°
Positions (direct):
Ga 0.330 0.339 0.991
Ga 0.652 0.661 0.991
Se 0.597 0.837 0.759
Se 0.922 0.163 0.759
Se 0.249 0.500 0.749

---

Entry 2:
Density functional theory data (PBE) for an optimized crystal structure of La4MgRu.

Output
Energy of formation: -0.220 eV/atom
Total DFT energy (no corrections): -5.32 eV per atom
Symmetry: F-43m (216)

Cell: 10.147 10.147 10.147 Å, 60.00 60.00 60.00°
Positions (direct):
La 0.810 0.190 0.190
La 0.190 0.190 0.810
La 0.810 0.810 0.190
La 0.190 0.810 0.810
La 0.594 0.594 0.218
La 0.438 0.062 0.062
La 0.062 0.438 0.062
La 0.438 0.062 0.438
La 0.218 0.594 0.594
La 0.062 0.438 0.438
La 0.594 0.218 0.594
La 0.594 0.594 0.594
La 0.190 0.810 0.190
La 0.810 0.190 0.810
La 0.062 0.062 0.438
La 0.438 0.438 0.062
Mg 0.828 0.828 0.828
Mg 0.516 0.828 0.828
Mg 0.828 0.516 0.828
Mg 0.828 0.828 0.516
Ru 0.838 0.387 0.387
Ru 0.387 0.387 0.387
Ru 0.387 0.838 0.387
Ru 0.387 0.387 0.838

---

Entry 3:
Density functional theory data (PBE) for an optimized crystal structure of SmSbO3.

Output
Magnetization: 0.000 μB/atom
Energy of formation: -2.017 eV/atom
Total DFT energy (no corrections): -6.34 eV per atom
Symmetry: Pm-3m (221)

Cell: 4.269 4.269 4.269 Å, 90.00 90.00 90.00°
Positions (direct):
Sm 0.500 0.500 0.500
Sb 0.000 0.000 0.000
O 0.500 0.000 0.000
O 0.000 0.500 0.000
O 0.000 0.000 0.500

---

Entry 4:
Density functional theory data (PBE) for an optimized crystal structure of ZnCu2SiSe4.

Output
Magnetization: 0.000 μB/atom
Energy of formation: -0.638 eV/atom
Total DFT energy (no corrections): -4.01 eV per atom
Symmetry: I-4 (82)

Cell: 6.830 6.830 6.830 Å, 131.42 131.42 71.15°
Positions (direct):
Zn 0.750 0.250 0.500
Cu 0.000 0.000 0.000
Cu 0.250 0.750 0.500
Si 0.500 0.500 0.000
Se 0.143 0.134 0.518
Se 0.616 0.625 0.482
Se 0.866 0.384 0.009
Se 0.375 0.857 0.991

---

Entry 5:
Density functional theory data (PBE) for an optimized crystal structure of Er2MnC4.

Output
Magnetization: 0.133 μB/atom
Energy of formation: -0.279 eV/atom
Total DFT energy (no corrections): -8.17 eV per atom
Symmetry: Ibam (72)

Cell: 6.544 6.544 6.544 Å, 135.00 109.57 87.59°
Positions (direct):
Er 0.510 0.855 0.655
Er 0.490 0.145 0.345
Er 0.800 0.645 0.155
Er 0.200 0.355 0.845
Mn 0.000 0.250 0.250
Mn 0.000 0.750 0.750
C 0.251 0.579 0.672
C 0.749 0.421 0.328
C 0.093 0.921 0.172
C 0.907 0.079 0.828
C 0.472 0.629 0.843
C 0.528 0.371 0.157
C 0.786 0.129 0.657
C 0.214 0.871 0.343

---

Entry 6:
Density functional theory data (PBE) for an optimized crystal structure of Cs2NbCuSe4.

Output
Magnetization: 0.000 μB/atom
Energy of formation: -1.222 eV/atom
Total DFT energy (no corrections): -4.73 eV per atom
Symmetry: Fddd (70)

Cell: 15.033 13.360 8.030 Å, 85.46 62.37 32.17°
Positions (direct):
Cs 0.572 0.572 0.928
Cs 0.928 0.928 0.572
Cs 0.678 0.678 0.322
Cs 0.322 0.322 0.678
Nb 0.500 0.500 0.500
Nb 0.750 0.750 0.750
Cu 0.250 0.250 0.250
Cu 0.000 0.000 0.000
Se 0.214 0.892 0.599
Se 0.295 0.599 0.892
Se 0.599 0.295 0.214
Se 0.892 0.214 0.295
Se 0.651 0.955 0.036
Se 0.358 0.036 0.955
Se 0.955 0.651 0.358
Se 0.036 0.358 0.651

---

Entry 7:
Density functional theory data (PBE) for an optimized crystal structure of HfSnRh.

Output
Energy of formation: -0.727 eV/atom
Total DFT energy (no corrections): -7.84 eV per atom
Symmetry: P-62c (190)

Cell: 7.388 7.388 7.242 Å, 90.00 90.00 120.00°
Positions (direct):
Hf 0.018 0.406 0.750
Hf 0.594 0.612 0.750
Hf 0.388 0.982 0.750
Hf 0.982 0.388 0.250
Hf 0.612 0.594 0.250
Hf 0.406 0.018 0.250
Sn 0.271 0.271 0.500
Sn 0.000 0.729 0.500
Sn 0.000 0.729 0.000
Sn 0.729 0.000 0.500
Sn 0.729 0.000 0.000
Sn 0.271 0.271 0.000
Rh 0.333 0.667 0.464
Rh 0.667 0.333 0.536
Rh 0.333 0.667 0.036
Rh 0.000 0.000 0.750
Rh 0.000 0.000 0.250
Rh 0.667 0.333 0.964

---

Entry 8:
Density functional theory data (PBE) for an optimized crystal structure of Ba2TmMgRuO6.

Output
Magnetization: 0.091 μB/atom
Distance to the lowest polymorph of the same formula: 68 meV per atom
Energy of formation: -2.476 eV/atom
Total DFT energy (no corrections): -6.54 eV per atom
Symmetry: Cm (8)

Cell: 6.525 6.472 6.472 Å, 54.76 54.58 54.58°
Positions (direct):
Ba 0.806 0.807 0.807
Ba 0.255 0.261 0.261
Tm 0.468 0.470 0.470
Mg 0.629 0.640 0.640
Ru 0.998 0.997 0.997
O 0.252 0.745 0.745
O 0.233 0.746 0.227
O 0.745 0.257 0.748
O 0.233 0.227 0.746
O 0.751 0.230 0.230
O 0.745 0.748 0.257

---

Entry 9:
Density functional theory data (PBE) for an optimized crystal structure of HgC6N12Cl3.

Output
Magnetization: 0.591 μB/atom
Energy of formation: 0.968 eV/atom
Total DFT energy (no corrections): -6.28 eV per atom
Symmetry: P2_1 (4)

Cell: 7.176 9.824 12.425 Å, 80.10 90.00 90.00°
Positions (direct):
Hg 0.737 0.008 0.245
Hg 0.237 0.992 0.755
C 0.329 0.376 0.422
C 0.829 0.624 0.578
C 0.315 0.377 0.238
C 0.815 0.623 0.762
C 0.378 0.577 0.302
C 0.878 0.423 0.698
C 0.885 0.592 0.172
C 0.385 0.408 0.828
C 0.822 0.392 0.291
C 0.322 0.608 0.709
C 0.814 0.395 0.107
C 0.314 0.605 0.893
N 0.781 0.322 0.209
N 0.281 0.678 0.791
N 0.367 0.514 0.409
N 0.867 0.486 0.591
N 0.363 0.513 0.213
N 0.863 0.487 0.787
N 0.410 0.715 0.283
N 0.910 0.285 0.717
N 0.877 0.527 0.278
N 0.377 0.473 0.722
N 0.293 0.303 0.341
N 0.793 0.697 0.659
N 0.802 0.322 0.395
N 0.302 0.678 0.605
N 0.864 0.530 0.083
N 0.364 0.470 0.917
N 0.792 0.325 0.022
N 0.292 0.675 0.978
N 0.321 0.306 0.526
N 0.821 0.694 0.474
N 0.283 0.309 0.153
N 0.783 0.691 0.847
N 0.919 0.730 0.155
N 0.419 0.270 0.845
Cl 0.562 0.013 0.083
Cl 0.062 0.987 0.917
Cl 0.563 0.009 0.416
Cl 0.063 0.991 0.584
Cl 0.064 0.008 0.286
Cl 0.564 0.992 0.714

---

Entry 10:
Density functional theory data (PBE) for an optimized crystal structure of Sm3Ni.

Output
Energy of formation: -0.194 eV/atom
Total DFT energy (no corrections): -5.18 eV per atom
Symmetry: Pnma (62)

Cell: 6.402 6.919 9.771 Å, 90.00 90.00 90.00°
Positions (direct):
Sm 0.322 0.179 0.565
Sm 0.178 0.679 0.935
Sm 0.678 0.821 0.065
Sm 0.822 0.321 0.435
Sm 0.678 0.821 0.435
Sm 0.822 0.321 0.065
Sm 0.322 0.179 0.935
Sm 0.178 0.679 0.565
Sm 0.862 0.034 0.750
Sm 0.638 0.534 0.750
Sm 0.138 0.966 0.250
Sm 0.362 0.466 0.250
Ni 0.064 0.391 0.750
Ni 0.436 0.891 0.750
Ni 0.936 0.609 0.250
Ni 0.564 0.109 0.250

---

Entry 11:
Density functional theory data (PBE) for an optimized crystal structure of Li3Eu.

Output
Magnetization: 1.947 μB/atom
Energy of formation: 0.110 eV/atom
Total DFT energy (no corrections): -3.89 eV per atom
Symmetry: Fm-3m (225)

Cell: 5.474 5.474 5.474 Å, 60.00 60.00 60.00°
Positions (direct):
Li 0.250 0.250 0.250
Li 0.750 0.750 0.750
Li 0.500 0.500 0.500
Eu 0.000 0.000 0.000

---

Entry 12:
Density functional theory data (PBE) for an optimized crystal structure of YSeO3F.

Output
Distance to the lowest polymorph of the same formula: 0 meV per atom
Energy of formation: -2.821 eV/atom
Total DFT energy (no corrections): -6.85 eV per atom
Symmetry: P2_1/m (11)

Cell: 7.109 4.439 6.634 Å, 83.88 90.00 90.00°
Positions (direct):
Y 0.250 0.540 0.364
Y 0.750 0.460 0.636
Se 0.750 0.680 0.148
Se 0.250 0.320 0.852
O 0.250 0.589 0.016
O 0.750 0.411 0.984
O 0.574 0.561 0.323
O 0.074 0.439 0.677
O 0.426 0.439 0.677
O 0.926 0.561 0.323
F 0.250 0.040 0.351
F 0.750 0.960 0.649